[1]
## LuCo2 (GGA-PBE)

Data for crystalline LuCo2 at its relaxed geometry.

Computed properties:
Raw total energy in eV per atom: -6.508

Cell lengths 5.0003, 5.0003, 5.0003 Å; angles 60.00, 60.00, 60.00 degrees
With the nearest neighbours (Å) after each atom.
Element x y z (fractional)
Lu: 0.1250 0.1250 0.1250  12 Co 2.93, 4 Lu 3.06
Lu: 0.8750 0.8750 0.8750  12 Co 2.93, 4 Lu 3.06
Co: 0.0000 0.5000 0.5000  6 Co 2.50
Co: 0.5000 0.0000 0.5000  6 Co 2.50
Co: 0.5000 0.5000 0.0000  6 Co 2.50
Co: 0.5000 0.5000 0.5000  6 Co 2.50



[2]
## KSn2H36C12Se6N3 (GGA-PBE)

Data for crystalline KSn2H36C12Se6N3 at its relaxed geometry.

Computed properties:
Raw total energy in eV per atom: -4.993
Spin magnetization in μB/f.u.: 0.002

Cell lengths 9.7849, 10.2183, 16.2966 Å; angles 95.17, 92.66, 107.03 degrees
With the nearest neighbours (Å) after each atom.
Element x y z (fractional)
K: 0.1962 0.1896 0.1868  5 Se 3.39-3.77, 5 H 3.43-3.79
K: 0.8038 0.8104 0.8132  5 Se 3.39-3.77, 5 H 3.43-3.79
Sn: 0.1037 0.1319 0.9385  4 Se 2.48-2.66
Sn: 0.4033 0.4023 0.4055  4 Se 2.52-2.65
Sn: 0.5967 0.5977 0.5945  4 Se 2.52-2.65
Sn: 0.8963 0.8681 0.0615  4 Se 2.48-2.66
H: 0.0248 0.4743 0.1687  1 C 1.10
H: 0.0370 0.2195 0.5427  1 C 1.10
H: 0.0466 0.6561 0.5627  1 C 1.10
H: 0.0704 0.7205 0.3854  1 C 1.10
H: 0.0707 0.6352 0.9206  1 C 1.10
H: 0.0806 0.9049 0.5917  1 C 1.10
H: 0.0817 0.7005 0.7433  1 C 1.10
H: 0.0873 0.4641 0.9001  1 C 1.10
H: 0.0937 0.9014 0.4043  1 C 1.10
H: 0.1031 0.4714 0.7160  1 C 1.10
H: 0.1499 0.5990 0.4849  1 C 1.10
H: 0.1782 0.8115 0.8326  1 C 1.10
H: 0.2101 0.0253 0.5385  1 C 1.10
H: 0.2127 0.4083 0.7836  1 C 1.10
H: 0.2131 0.8083 0.1595  1 C 1.10
H: 0.2383 0.6862 0.5821  1 C 1.10
H: 0.2386 0.7224 0.2488  1 C 1.10
H: 0.2683 0.9314 0.6137  1 C 1.10
H: 0.2743 0.7700 0.7467  1 C 1.10
H: 0.2945 0.5406 0.7186  1 C 1.10
H: 0.3041 0.9073 0.2536  1 C 1.10
H: 0.3131 0.7533 0.4151  1 C 1.10
H: 0.3323 0.7325 0.9240  1 C 1.10
H: 0.3429 0.6693 0.0764  1 C 1.10
H: 0.3453 0.5822 0.1674  1 C 1.10
H: 0.3474 0.9382 0.4353  1 C 1.10
H: 0.3519 0.5631 0.9042  1 C 1.10
H: 0.3806 0.2125 0.7505  1 C 1.10
H: 0.3958 0.0920 0.8731  1 C 1.10
H: 0.4055 0.8415 0.5114  1 C 1.10
H: 0.4257 0.6936 0.8371  1 C 1.10
H: 0.4321 0.9176 0.0872  1 C 1.10
H: 0.4544 0.7097 0.2967  1 C 1.10
H: 0.4723 0.1057 0.6963  1 C 1.10
H: 0.4855 0.9864 0.8162  1 C 1.10
H: 0.4908 0.3435 0.8810  1 C 1.09
H: 0.5092 0.6565 0.1190  1 C 1.09
H: 0.5145 0.0136 0.1838  1 C 1.10
H: 0.5277 0.8943 0.3037  1 C 1.10
H: 0.5456 0.2903 0.7033  1 C 1.10
H: 0.5679 0.0824 0.9128  1 C 1.10
H: 0.5743 0.3064 0.1629  1 C 1.10
H: 0.5945 0.1585 0.4886  1 C 1.10
H: 0.6042 0.9080 0.1269  1 C 1.10
H: 0.6194 0.7875 0.2495  1 C 1.10
H: 0.6481 0.4369 0.0958  1 C 1.10
H: 0.6526 0.0618 0.5647  1 C 1.10
H: 0.6547 0.4178 0.8326  1 C 1.10
H: 0.6571 0.3307 0.9236  1 C 1.10
H: 0.6677 0.2675 0.0760  1 C 1.10
H: 0.6869 0.2467 0.5849  1 C 1.10
H: 0.6959 0.0927 0.7464  1 C 1.10
H: 0.7055 0.4594 0.2814  1 C 1.10
H: 0.7257 0.2300 0.2533  1 C 1.10
H: 0.7317 0.0686 0.3863  1 C 1.10
H: 0.7614 0.2776 0.7512  1 C 1.10
H: 0.7617 0.3138 0.4179  1 C 1.10
H: 0.7869 0.1917 0.8405  1 C 1.10
H: 0.7873 0.5917 0.2164  1 C 1.10
H: 0.7899 0.9747 0.4615  1 C 1.10
H: 0.8218 0.1885 0.1674  1 C 1.10
H: 0.8501 0.4010 0.5151  1 C 1.10
H: 0.8969 0.5286 0.2840  1 C 1.10
H: 0.9063 0.0986 0.5957  1 C 1.10
H: 0.9127 0.5359 0.0999  1 C 1.10
H: 0.9183 0.2995 0.2567  1 C 1.10
H: 0.9194 0.0951 0.4083  1 C 1.10
H: 0.9293 0.3648 0.0794  1 C 1.10
H: 0.9296 0.2795 0.6146  1 C 1.10
H: 0.9534 0.3439 0.4373  1 C 1.10
H: 0.9630 0.7805 0.4573  1 C 1.10
H: 0.9752 0.5257 0.8313  1 C 1.10
C: 0.0683 0.8041 0.4320  3 H 1.10
C: 0.0737 0.5539 0.8725  3 H 1.10
C: 0.1505 0.6782 0.5355  3 H 1.10
C: 0.1820 0.7324 0.7833  3 H 1.10
C: 0.1850 0.9272 0.5653  3 H 1.10
C: 0.2036 0.4992 0.7553  3 H 1.10
C: 0.2841 0.8098 0.2139  3 H 1.10
C: 0.3237 0.8401 0.4624  3 H 1.10
C: 0.3378 0.6523 0.8759  3 H 1.10
C: 0.4046 0.6666 0.1339  3 H 1.09-1.10
C: 0.4855 0.2033 0.7346  3 H 1.10
C: 0.5000 0.0815 0.8570  3 H 1.10
C: 0.5000 0.9185 0.1430  3 H 1.10
C: 0.5145 0.7967 0.2654  3 H 1.10
C: 0.5954 0.3334 0.8661  3 H 1.09-1.10
C: 0.6622 0.3477 0.1241  3 H 1.10
C: 0.6763 0.1599 0.5376  3 H 1.10
C: 0.7159 0.1902 0.7861  3 H 1.10
C: 0.7964 0.5008 0.2447  3 H 1.10
C: 0.8150 0.0728 0.4347  3 H 1.10
C: 0.8180 0.2676 0.2167  3 H 1.10
C: 0.8495 0.3218 0.4645  3 H 1.10
C: 0.9263 0.4461 0.1275  3 H 1.10
C: 0.9317 0.1959 0.5680  3 H 1.10
Se: 0.0777 0.0913 0.7849  1 Sn 2.49
Se: 0.1550 0.9212 0.0056  2 Sn 2.65-2.66, 1 H 2.95
Se: 0.2016 0.4600 0.3303  1 Sn 2.52
Se: 0.2749 0.3437 0.0114  1 Sn 2.48
Se: 0.3665 0.3806 0.5625  2 Sn 2.62-2.65
Se: 0.4555 0.1945 0.3347  1 Sn 2.52
Se: 0.5445 0.8055 0.6653  1 Sn 2.52
Se: 0.6335 0.6194 0.4375  2 Sn 2.62-2.65
Se: 0.7251 0.6563 0.9886  1 Sn 2.48
Se: 0.7984 0.5400 0.6697  1 Sn 2.52
Se: 0.8450 0.0788 0.9944  2 Sn 2.65-2.66, 1 H 2.95
Se: 0.9223 0.9087 0.2151  1 Sn 2.49
N: 0.1814 0.8135 0.4994  4 C 1.50-1.51
N: 0.1990 0.6091 0.8220  4 C 1.50-1.51
N: 0.4262 0.7988 0.1880  4 C 1.50
N: 0.5738 0.2012 0.8120  4 C 1.50
N: 0.8010 0.3909 0.1780  4 C 1.50-1.51
N: 0.8186 0.1865 0.5006  4 C 1.50-1.51



[3]
## Ho2Fe4Si9 (GGA-PBE)

Data for crystalline Ho2Fe4Si9 at its relaxed geometry.

Computed properties:
Raw total energy in eV per atom: -6.461
Spin magnetization in μB/f.u.: 0.001

Cell lengths 3.9395, 3.9395, 15.9975 Å; angles 90.00, 90.00, 120.00 degrees
With the nearest neighbours (Å) after each atom.
Element x y z (fractional)
Ho: 0.3333 0.6667 0.2410  8 Si 2.86-3.16, 3 Fe 3.19
Ho: 0.6667 0.3333 0.7590  8 Si 2.86-3.16, 3 Fe 3.19
Fe: 0.3333 0.6667 0.5897  7 Si 2.31-2.48
Fe: 0.3333 0.6667 0.8984  7 Si 2.31-2.46
Fe: 0.6667 0.3333 0.1016  7 Si 2.31-2.46
Fe: 0.6667 0.3333 0.4103  7 Si 2.31-2.48
Si: 0.0000 0.0000 0.1268  3 Fe 2.31
Si: 0.0000 0.0000 0.3493  4 Si 2.41-2.66, 3 Fe 2.48
Si: 0.0000 0.0000 0.5000  8 Si 2.41-2.50, 6 Fe 2.69
Si: 0.0000 0.0000 0.6507  4 Si 2.41-2.66, 3 Fe 2.48
Si: 0.0000 0.0000 0.8732  3 Fe 2.31
Si: 0.3333 0.6667 0.0432  4 Fe 2.32-2.46
Si: 0.3333 0.6667 0.4350  4 Fe 2.31-2.47, 3 Si 2.50
Si: 0.6667 0.3333 0.5650  4 Fe 2.31-2.47, 3 Si 2.50
Si: 0.6667 0.3333 0.9568  4 Fe 2.32-2.46



[4]
## ZnSb4O8 (GGA-PBE)

Data for crystalline ZnSb4O8 at its relaxed geometry.

Computed properties:
Raw total energy in eV per atom: -5.667
Spin magnetization in μB/f.u.: 0.008
Distance to the lowest polymorph of the same formula in meV per atom: 0

Cell lengths 3.2560, 8.4054, 9.4332 Å; angles 65.58, 83.29, 84.53 degrees
With the nearest neighbours (Å) after each atom.
Element x y z (fractional)
Zn: 0.0000 0.0000 0.0000  3 O 1.96-2.03
Sb: 0.1969 0.3130 0.6603  4 O 2.08-2.28
Sb: 0.4296 0.9251 0.3050  6 O 1.99-2.13
Sb: 0.6181 0.4134 0.9866  3 O 2.03-2.05
Sb: 0.8161 0.9570 0.6462  4 O 2.08-2.29
O: 0.1220 0.5466 0.8642  2 Sb 2.03-2.05
O: 0.2325 0.0427 0.7792  1 Zn 2.03, 1 Sb 2.08
O: 0.3522 0.0083 0.4816  3 Sb 2.04-2.18
O: 0.4976 0.8788 0.1128  2 Zn 1.96-2.00, 1 Sb 1.99
O: 0.7017 0.2620 0.8631  2 Sb 2.03-2.28, 1 Zn 2.23
O: 0.7681 0.2292 0.5565  3 Sb 2.08-2.19
O: 0.9264 0.0958 0.1990  2 Sb 2.12-2.13, 1 Zn 2.31
O: 0.9317 0.7731 0.4086  2 Sb 2.05



[5]
## KCeNbSnO6 (GGA-PBE)

Data for crystalline KCeNbSnO6 at its relaxed geometry.

Computed properties:
Raw total energy in eV per atom: -7.420
Spin magnetization in μB/f.u.: 0.000
Distance to the lowest polymorph of the same formula in meV per atom: 0

Cell lengths 6.0261, 6.0261, 8.4914 Å; angles 90.00, 90.00, 90.00 degrees
With the nearest neighbours (Å) after each atom.
Element x y z (fractional)
K: 0.0000 0.0000 0.2500  12 O 3.02-3.06
K: 0.0000 0.0000 0.7500  12 O 3.02-3.06
Ce: 0.0000 0.5000 0.0000  6 O 2.23-2.24
Ce: 0.5000 0.0000 0.5000  6 O 2.23-2.24
Nb: 0.0000 0.5000 0.5000  6 O 2.01-2.02
Nb: 0.5000 0.0000 0.0000  6 O 2.01-2.02
Sn: 0.5000 0.5000 0.2500  12 O 2.96-3.02
Sn: 0.5000 0.5000 0.7500  12 O 2.96-3.02
O: 0.0000 0.5000 0.2628  1 Nb 2.01, 1 Ce 2.23
O: 0.0000 0.5000 0.7372  1 Nb 2.01, 1 Ce 2.23
O: 0.2453 0.2710 0.5000  1 Nb 2.02, 1 Ce 2.24
O: 0.2453 0.7290 0.5000  1 Nb 2.02, 1 Ce 2.24
O: 0.2710 0.2453 0.0000  1 Nb 2.02, 1 Ce 2.24
O: 0.2710 0.7547 0.0000  1 Nb 2.02, 1 Ce 2.24
O: 0.5000 0.0000 0.2372  1 Nb 2.01, 1 Ce 2.23
O: 0.5000 0.0000 0.7628  1 Nb 2.01, 1 Ce 2.23
O: 0.7290 0.2453 0.0000  1 Nb 2.02, 1 Ce 2.24
O: 0.7290 0.7547 0.0000  1 Nb 2.02, 1 Ce 2.24
O: 0.7547 0.2710 0.5000  1 Nb 2.02, 1 Ce 2.24
O: 0.7547 0.7290 0.5000  1 Nb 2.02, 1 Ce 2.24



[6]
## Cd2GaCuS4 (GGA-PBE)

Data for crystalline Cd2GaCuS4 at its relaxed geometry.

Computed properties:
Raw total energy in eV per atom: -3.722
Spin magnetization in μB/f.u.: 0.001

Cell lengths 7.6664, 7.6664, 6.8957 Å; angles 116.23, 116.23, 30.08 degrees
With the nearest neighbours (Å) after each atom.
Element x y z (fractional)
Cd: 0.0000 0.0000 0.0000  4 S 2.48-2.56
Cd: 0.5034 0.5034 0.4856  4 S 2.48-2.61
Ga: 0.7566 0.7566 0.0679  4 S 2.32-2.44
Cu: 0.2555 0.2555 0.5856  4 S 2.31-2.41
S: 0.0799 0.0799 0.4042  1 Cu 2.31, 3 Cd 2.48
S: 0.3055 0.3055 0.2979  1 Cu 2.41, 2 Ga 2.44, 1 Cd 2.61
S: 0.5798 0.5798 0.9021  1 Ga 2.33, 3 Cd 2.56
S: 0.8072 0.8072 0.7954  1 Ga 2.32, 2 Cu 2.37, 1 Cd 2.54